Below is an optimized crystal structure of Sc2CoRu, with properties calculated at the PBE-GGA level.

a b c (Å): 4.488 4.488 4.488
angles (deg): 60.00 60.00 60.00
Positions (direct):
Sc 0.250 0.250 0.250
Sc 0.750 0.750 0.750
Ru 0.000 0.000 0.000
Co 0.500 0.500 0.500

Calculated values
Formation energy in meV per atom: -477.6
Crystal system: cubic
E in eV per atom: -7.739
Space group: Fm-3m

Below is an optimized crystal structure of Tm2CoRu, with properties calculated at the PBE-GGA level.

a b c (Å): 4.706 4.706 4.706
angles (deg): 60.00 60.00 60.00
Positions (direct):
Ru 0.000 0.000 0.000
Tm 0.250 0.250 0.250
Tm 0.750 0.750 0.750
Co 0.500 0.500 0.500

Calculated values
Formation energy in meV per atom: -344.1
Crystal system: cubic
E in eV per atom: -6.678
Space group: Fm-3m

Below is an optimized crystal structure of Co3S4, with properties calculated at the PBE-GGA level.

a b c (Å): 6.573 6.573 6.573
angles (deg): 60.00 60.00 60.00
Positions (direct):
Co 0.250 0.250 0.250
Co 0.000 0.000 0.000
S 0.396 0.868 0.868
S 0.382 0.854 0.382
Co 0.625 0.625 0.625
Co 0.125 0.625 0.625
S 0.868 0.868 0.868
S 0.868 0.868 0.396
Co 0.625 0.625 0.125
Co 0.625 0.125 0.625
S 0.868 0.396 0.868
S 0.382 0.382 0.854
S 0.854 0.382 0.382
S 0.382 0.382 0.382

Calculated values
Formation energy in meV per atom: -725.7
Crystal system: cubic
E in eV per atom: -5.848
Space group: Fd-3m

Below is an optimized crystal structure of CoS2, with properties calculated at the PBE-GGA level.

a b c (Å): 6.583 6.583 6.583
angles (deg): 60.00 60.00 60.00
Positions (direct):
S 0.365 0.365 0.905
S 0.885 0.885 0.885
Co 0.625 0.125 0.125
S 0.365 0.905 0.365
Co 0.125 0.125 0.625
S 0.345 0.885 0.885
S 0.885 0.885 0.345
S 0.905 0.365 0.365
S 0.365 0.365 0.365
Co 0.125 0.125 0.125
Co 0.125 0.625 0.125
S 0.885 0.345 0.885

Calculated values
Formation energy in meV per atom: -594.1
Crystal system: cubic
E in eV per atom: -5.386
Space group: Fd-3m

Below is an optimized crystal structure of CoS2, with properties calculated at the PBE-GGA level.

a b c (Å): 5.444 5.568 5.539
angles (deg): 90.00 89.99 90.00
Positions (direct):
Co 0.500 0.000 0.500
Co 0.500 0.500 0.000
S 0.887 0.388 0.112
S 0.113 0.888 0.388
S 0.387 0.112 0.889
S 0.613 0.612 0.611
S 0.387 0.388 0.389
Co 0.000 0.000 0.000
S 0.613 0.888 0.111
S 0.887 0.112 0.612
Co 0.000 0.500 0.500
S 0.113 0.612 0.888

Calculated values
Formation energy in meV per atom: -690.7
Crystal system: orthorhombic
E in eV per atom: -5.482
Space group: Pbca

Below is an optimized crystal structure of Co2S3, with properties calculated at the PBE-GGA level.

a b c (Å): 14.688 14.688 14.688
angles (deg): 154.12 154.12 36.93
Positions (direct):
Co 0.082 0.582 0.500
Co 0.332 0.332 0.000
S 0.773 0.045 0.728
S 0.288 0.029 0.740
Co 0.208 0.455 0.248
Co 0.040 0.792 0.248
S 0.623 0.888 0.265
Co 0.710 0.458 0.252
Co 0.418 0.918 0.500
S 0.452 0.712 0.740
S 0.108 0.873 0.235
Co 0.875 0.125 0.250
Co 0.875 0.125 0.750
S 0.977 0.205 0.772
Co 0.875 0.625 0.750
S 0.298 0.538 0.760
S 0.434 0.205 0.228
S 0.316 0.045 0.272
Co 0.545 0.792 0.752
S 0.127 0.362 0.235
Co 0.208 0.960 0.752
S 0.795 0.566 0.772
S 0.462 0.702 0.240
S 0.462 0.221 0.760
S 0.971 0.712 0.260
S 0.795 0.023 0.228
S 0.112 0.377 0.735
S 0.955 0.227 0.272
Co 0.542 0.795 0.252
S 0.642 0.377 0.265
Co 0.668 0.668 0.000
Co 0.542 0.290 0.748
S 0.623 0.358 0.735
Co 0.205 0.458 0.748
S 0.127 0.892 0.765
S 0.779 0.538 0.240
S 0.638 0.873 0.765
Co 0.375 0.125 0.250
S 0.288 0.548 0.260
S 0.955 0.684 0.728

Calculated values
Formation energy in meV per atom: -690.2
Crystal system: tetragonal
E in eV per atom: -5.714
Space group: I4_1/amd

Below is an optimized crystal structure of Co3S, with properties calculated at the PBE-GGA level.

a b c (Å): 5.154 5.154 3.923
angles (deg): 90.00 90.00 120.00
Positions (direct):
Co 0.664 0.832 0.250
Co 0.832 0.664 0.750
Co 0.336 0.168 0.750
S 0.667 0.333 0.250
Co 0.168 0.336 0.250
S 0.333 0.667 0.750
Co 0.832 0.168 0.750
Co 0.168 0.832 0.250

Calculated values
Formation energy in meV per atom: 109.2
Crystal system: hexagonal
E in eV per atom: -6.130
Space group: P6_3/mmc

Below is an optimized crystal structure of CoS2, with properties calculated at the PBE-GGA level.

a b c (Å): 6.043 6.043 6.043
angles (deg): 130.21 130.21 73.06
Positions (direct):
Co 0.750 0.250 0.500
Co 0.000 0.000 0.000
S 0.875 0.907 0.532
S 0.375 0.343 0.468
S 0.657 0.125 0.032
S 0.093 0.625 0.968

Calculated values
Formation energy in meV per atom: -375.2
Crystal system: tetragonal
E in eV per atom: -5.167
Space group: I-42d

Below is an optimized crystal structure of CoS, with properties calculated at the PBE-GGA level.

a b c (Å): 3.633 3.633 5.179
angles (deg): 90.00 90.00 90.00
Positions (direct):
Co 0.000 0.000 0.000
S 0.000 0.500 0.235
S 0.500 0.000 0.765
Co 0.500 0.500 0.000

Calculated values
Formation energy in meV per atom: -672.1
Crystal system: tetragonal
E in eV per atom: -6.043
Space group: P4/nmm

Below is an optimized crystal structure of CoS2, with properties calculated at the PBE-GGA level.

a b c (Å): 5.506 5.506 5.506
angles (deg): 90.00 90.00 90.00
Positions (direct):
S 0.388 0.112 0.888
Co 0.500 0.500 0.000
Co 0.000 0.000 0.000
S 0.612 0.612 0.612
Co 0.000 0.500 0.500
S 0.112 0.888 0.388
S 0.888 0.388 0.112
Co 0.500 0.000 0.500
S 0.388 0.388 0.388
S 0.888 0.112 0.612
S 0.112 0.612 0.888
S 0.612 0.888 0.112

Calculated values
Formation energy in meV per atom: -692.6
Crystal system: cubic
E in eV per atom: -5.484
Space group: Pa-3

Below is an optimized crystal structure of Co2S3, with properties calculated at the PBE-GGA level.

a b c (Å): 6.012 6.012 6.012
angles (deg): 56.62 56.62 56.62
Positions (direct):
S 0.553 0.947 0.250
S 0.750 0.447 0.053
Co 0.350 0.350 0.350
S 0.053 0.750 0.447
S 0.947 0.250 0.553
Co 0.650 0.650 0.650
S 0.447 0.053 0.750
Co 0.150 0.150 0.150
S 0.250 0.553 0.947
Co 0.850 0.850 0.850

Calculated values
Formation energy in meV per atom: -712.2
Crystal system: trigonal
E in eV per atom: -5.736
Space group: R-3c

Below is an optimized crystal structure of CoS2, with properties calculated at the PBE-GGA level.

a b c (Å): 7.338 7.338 7.338
angles (deg): 25.27 25.27 25.27
Positions (direct):
S 0.393 0.393 0.393
S 0.607 0.607 0.607
Co 0.000 0.000 0.000

Calculated values
Formation energy in meV per atom: -574.1
Crystal system: trigonal
E in eV per atom: -5.366
Space group: R-3m

Below is an optimized crystal structure of CoS, with properties calculated at the PBE-GGA level.

a b c (Å): 3.347 3.347 5.139
angles (deg): 90.00 90.00 120.00
Positions (direct):
S 0.667 0.333 0.750
Co 0.000 0.000 0.500
S 0.333 0.667 0.250
Co 0.000 0.000 0.000

Calculated values
Formation energy in meV per atom: -534.2
Crystal system: hexagonal
E in eV per atom: -5.905
Space group: P6_3/mmc

Below is an optimized crystal structure of CoSeS, with properties calculated at the PBE-GGA level.

a b c (Å): 5.668 5.668 5.668
angles (deg): 90.00 90.00 90.00
Positions (direct):
Co 0.009 0.009 0.009
S 0.880 0.380 0.120
Co 0.991 0.509 0.491
Se 0.623 0.877 0.123
Se 0.877 0.123 0.623
Co 0.491 0.991 0.509
S 0.120 0.880 0.380
S 0.380 0.120 0.880
S 0.620 0.620 0.620
Se 0.377 0.377 0.377
Se 0.123 0.623 0.877
Co 0.509 0.491 0.991

Calculated values
Formation energy in meV per atom: -469.6
Crystal system: cubic
E in eV per atom: -5.216
Space group: P2_13

Below is an optimized crystal structure of Ti2CoS4, with properties calculated at the PBE-GGA level.

a b c (Å): 6.496 6.496 5.824
angles (deg): 63.74 63.74 30.18
Positions (direct):
Ti 0.256 0.256 0.735
S 0.620 0.620 0.040
S 0.115 0.115 0.556
S 0.885 0.885 0.444
S 0.380 0.380 0.960
Co 0.000 0.000 0.000
Ti 0.744 0.744 0.265

Calculated values
Formation energy in meV per atom: -1419.1
Crystal system: monoclinic
E in eV per atom: -6.767
Space group: C2/m

Below is an optimized crystal structure of Ti4CoS8, with properties calculated at the PBE-GGA level.

a b c (Å): 6.584 6.584 8.123
angles (deg): 53.68 53.68 62.37
Positions (direct):
Ti 0.743 0.257 0.500
S 0.453 0.453 0.336
S 0.961 0.961 0.328
S 0.039 0.039 0.672
S 0.448 0.957 0.835
Ti 0.741 0.741 0.006
Ti 0.257 0.743 0.500
S 0.957 0.448 0.835
S 0.552 0.043 0.165
S 0.547 0.547 0.664
S 0.043 0.552 0.165
Co 0.000 0.000 0.000
Ti 0.259 0.259 0.994

Calculated values
Formation energy in meV per atom: -1521.8
Crystal system: monoclinic
E in eV per atom: -6.734
Space group: C2/m

Below is an optimized crystal structure of Tl2CoS2, with properties calculated at the PBE-GGA level.

a b c (Å): 6.220 6.220 6.036
angles (deg): 121.01 121.01 90.00
Positions (direct):
Co 0.000 0.000 0.000
S 0.255 0.255 0.509
Tl 0.750 0.250 0.500
S 0.745 0.745 0.491
Tl 0.250 0.750 0.500

Calculated values
Formation energy in meV per atom: -146.4
Crystal system: tetragonal
E in eV per atom: -3.967
Space group: I4/mmm

Below is an optimized crystal structure of TlCo2S2, with properties calculated at the PBE-GGA level.

a b c (Å): 7.067 7.067 7.067
angles (deg): 149.37 149.37 43.86
Positions (direct):
Co 0.750 0.250 0.500
S 0.659 0.659 0.000
S 0.341 0.341 0.000
Co 0.250 0.750 0.500
Tl 0.000 0.000 0.000

Calculated values
Formation energy in meV per atom: -556.6
Crystal system: tetragonal
E in eV per atom: -5.326
Space group: I4/mmm

Below is an optimized crystal structure of U8CoS17, with properties calculated at the PBE-GGA level.

a b c (Å): 7.762 7.762 10.243
angles (deg): 80.27 80.27 64.36
Positions (direct):
Co 0.000 0.000 0.000
S 0.213 0.213 0.279
S 0.000 0.000 0.500
U 0.202 0.202 0.547
U 0.318 0.318 0.017
S 0.820 0.433 0.535
S 0.567 0.180 0.465
S 0.945 0.320 0.028
S 0.700 0.700 0.243
U 0.301 0.818 0.296
S 0.787 0.787 0.721
S 0.055 0.680 0.972
S 0.479 0.479 0.170
S 0.433 0.820 0.535
S 0.300 0.300 0.757
S 0.521 0.521 0.830
U 0.182 0.699 0.704
S 0.680 0.055 0.972
U 0.699 0.182 0.704
U 0.682 0.682 0.983
S 0.055 0.055 0.779
S 0.945 0.945 0.221
S 0.180 0.567 0.465
U 0.818 0.301 0.296
U 0.798 0.798 0.453
S 0.320 0.945 0.028

Calculated values
Formation energy in meV per atom: -1675.4
Crystal system: monoclinic
E in eV per atom: -7.799
Space group: C2/m

Below is an optimized crystal structure of YCo2S4, with properties calculated at the PBE-GGA level.

a b c (Å): 7.214 7.214 7.214
angles (deg): 121.22 121.22 87.90
Positions (direct):
Co 0.875 0.125 0.250
S 0.100 0.890 0.791
S 0.691 0.900 0.791
Co 0.875 0.625 0.750
Co 0.375 0.125 0.250
S 0.100 0.309 0.209
Y 0.250 0.750 0.500
S 0.110 0.900 0.209
Y 0.500 0.500 0.000
Co 0.875 0.125 0.750
S 0.650 0.360 0.709
S 0.640 0.350 0.291
S 0.650 0.941 0.291
S 0.059 0.350 0.709

Calculated values
ΔE to the lowest computed polymorph in eV per formula unit: 0.940
Formation energy in meV per atom: -982.4
Crystal system: tetragonal
E in eV per atom: -6.013
Space group: I4_1/amd